Record 1
A plane-wave DFT calculation with PBE was carried out for an optimized crystal structure of CsLi4B5O10.

Magnetization in μB per cell: 0.0
E_form in meV/atom: -2725
Electronic total energy in eV/atom: -6.9516

Lattice parameters (Å, degrees): 7.0200 9.4972 16.2902 90.00 98.05 90.00
Fractional coordinates of all 80 atoms:
Cs 0.0948 0.2025 0.1320
Cs 0.0948 0.2975 0.6320
Cs 0.9052 0.7025 0.3680
Cs 0.9052 0.7975 0.8680
Li 0.2231 0.5926 0.0561
Li 0.2231 0.9074 0.5561
Li 0.4512 0.6446 0.5317
Li 0.4512 0.8554 0.0317
Li 0.4612 0.7225 0.1802
Li 0.4612 0.7775 0.6802
Li 0.4976 0.5801 0.9274
Li 0.4976 0.9199 0.4274
Li 0.5024 0.0801 0.5726
Li 0.5024 0.4199 0.0726
Li 0.5388 0.2225 0.3198
Li 0.5388 0.2775 0.8198
Li 0.5488 0.1446 0.9683
Li 0.5488 0.3554 0.4683
Li 0.7769 0.0926 0.4439
Li 0.7769 0.4074 0.9439
B 0.0704 0.6989 0.6053
B 0.0704 0.8011 0.1053
B 0.2189 0.1444 0.4347
B 0.2189 0.3556 0.9347
B 0.2478 0.1258 0.8559
B 0.2478 0.3742 0.3559
B 0.3569 0.0009 0.7346
B 0.3569 0.4991 0.2346
B 0.4084 0.6146 0.3738
B 0.4084 0.8854 0.8738
B 0.5916 0.1146 0.1262
B 0.5916 0.3854 0.6262
B 0.6431 0.5009 0.7654
B 0.6431 0.9991 0.2654
B 0.7522 0.6258 0.6441
B 0.7522 0.8742 0.1441
B 0.7811 0.6444 0.0653
B 0.7811 0.8556 0.5653
B 0.9296 0.1989 0.8947
B 0.9296 0.3011 0.3947
O 0.0251 0.1836 0.4387
O 0.0251 0.3164 0.9387
O 0.0383 0.1126 0.8513
O 0.0383 0.3874 0.3513
O 0.2584 0.6858 0.6005
O 0.2584 0.8142 0.1005
O 0.2921 0.0263 0.4703
O 0.2921 0.4737 0.9703
O 0.3066 0.1244 0.7720
O 0.3066 0.3756 0.2720
O 0.3248 0.2393 0.3935
O 0.3248 0.2607 0.8935
O 0.3456 0.0103 0.9078
O 0.3456 0.4897 0.4078
O 0.3682 0.5135 0.1540
O 0.3682 0.9865 0.6540
O 0.4007 0.6198 0.2862
O 0.4007 0.8802 0.7862
O 0.4723 0.7211 0.4229
O 0.4723 0.7789 0.9229
O 0.5277 0.2211 0.0771
O 0.5277 0.2789 0.5771
O 0.5993 0.1198 0.2138
O 0.5993 0.3802 0.7138
O 0.6318 0.0135 0.3460
O 0.6318 0.4865 0.8460
O 0.6544 0.5103 0.5922
O 0.6544 0.9897 0.0922
O 0.6752 0.7393 0.1065
O 0.6752 0.7607 0.6065
O 0.6934 0.6244 0.7280
O 0.6934 0.8756 0.2280
O 0.7079 0.5263 0.0297
O 0.7079 0.9737 0.5297
O 0.7416 0.1858 0.8995
O 0.7416 0.3142 0.3995
O 0.9617 0.6126 0.6487
O 0.9617 0.8874 0.1487
O 0.9749 0.6836 0.0613
O 0.9749 0.8164 0.5613

---

Record 2
A plane-wave DFT calculation with PBE was carried out for an optimized crystal structure of MnPRh.

Magnetization in μB per cell: 9.2
E_form in meV/atom: -537
Electronic total energy in eV/atom: -7.8502

Lattice parameters (Å, degrees): 5.9965 5.9965 3.6818 90.00 90.00 120.00
Fractional coordinates of all 9 atoms:
Mn 0.0000 0.6052 0.0000
Mn 0.3948 0.3948 0.0000
Mn 0.6052 0.0000 0.0000
P 0.0000 0.0000 0.0000
P 0.3333 0.6667 0.5000
P 0.6667 0.3333 0.5000
Rh 0.0000 0.2650 0.5000
Rh 0.2650 0.0000 0.5000
Rh 0.7350 0.7350 0.5000

---

Record 3
A plane-wave DFT calculation with PBE was carried out for an optimized crystal structure of ZrCr2.

E_form in meV/atom: -32
Electronic total energy in eV/atom: -9.3170

Lattice parameters (Å, degrees): 5.0524 5.0524 5.0524 60.00 60.00 60.00
Fractional coordinates of all 6 atoms:
Zr 0.1250 0.1250 0.1250
Zr 0.8750 0.8750 0.8750
Cr 0.0000 0.5000 0.5000
Cr 0.5000 0.0000 0.5000
Cr 0.5000 0.5000 0.0000
Cr 0.5000 0.5000 0.5000

---

Record 4
A plane-wave DFT calculation with PBE was carried out for an optimized crystal structure of Li2Cu3F7.

Magnetization in μB per cell: 4.0
E_form in meV/atom: -2122
Electronic total energy in eV/atom: -4.3126

Lattice parameters (Å, degrees): 10.1901 10.7869 3.0623 90.00 90.00 90.00
Fractional coordinates of all 24 atoms:
Li 0.2499 0.1496 0.0000
Li 0.2501 0.6496 0.0000
Li 0.7499 0.3504 0.0000
Li 0.7501 0.8504 0.0000
Cu 0.0000 0.0000 0.5000
Cu 0.0408 0.3657 0.5000
Cu 0.4592 0.8657 0.5000
Cu 0.5000 0.5000 0.5000
Cu 0.5408 0.1343 0.5000
Cu 0.9592 0.6343 0.5000
F 0.0000 0.5000 0.0000
F 0.1207 0.2779 0.0000
F 0.1243 0.0111 0.0000
F 0.1552 0.6649 0.5000
F 0.3448 0.1649 0.5000
F 0.3757 0.5111 0.0000
F 0.3793 0.7779 0.0000
F 0.5000 0.0000 0.0000
F 0.6207 0.2221 0.0000
F 0.6243 0.4889 0.0000
F 0.6552 0.8351 0.5000
F 0.8448 0.3351 0.5000
F 0.8757 0.9889 0.0000
F 0.8793 0.7221 0.0000

---

Record 5
A plane-wave DFT calculation with PBE was carried out for an optimized crystal structure of NdZr3Mn8.

Magnetization in μB per cell: 4.8
E_form in meV/atom: -22
Electronic total energy in eV/atom: -8.6646

Lattice parameters (Å, degrees): 5.0693 5.0693 8.3906 90.08 90.08 57.61
Fractional coordinates of all 12 atoms:
Nd 0.0000 0.0000 0.0000
Zr 0.0016 0.0016 0.6207
Zr 0.3319 0.3319 0.1312
Zr 0.3320 0.3320 0.4975
Mn 0.0032 0.4931 0.8003
Mn 0.3334 0.8370 0.3207
Mn 0.4931 0.0032 0.8003
Mn 0.4946 0.4946 0.8012
Mn 0.6674 0.6674 0.5595
Mn 0.6685 0.6685 0.0637
Mn 0.8370 0.3334 0.3207
Mn 0.8368 0.8368 0.3187

---

Record 6
A plane-wave DFT calculation with PBE was carried out for an optimized crystal structure of Na4AgCl5.

E_form in meV/atom: -1834
Electronic total energy in eV/atom: -3.2638

Lattice parameters (Å, degrees): 10.6081 10.6081 10.6081 158.15 149.01 38.24
Fractional coordinates of all 10 atoms:
Na 0.0997 0.0997 0.0000
Na 0.2999 0.2999 0.0000
Na 0.7001 0.7001 0.0000
Na 0.9003 0.9003 0.0000
Ag 0.5000 0.5000 0.0000
Cl 0.0000 0.5000 0.5000
Cl 0.2000 0.7000 0.5000
Cl 0.3994 0.8994 0.5000
Cl 0.6006 0.1006 0.5000
Cl 0.8000 0.3000 0.5000

---

Record 7
A plane-wave DFT calculation with PBE was carried out for an optimized crystal structure of SrAl2B2O7.

Magnetization in μB per cell: 0.0
E_form in meV/atom: -3264
Electronic total energy in eV/atom: -7.6275
Maximum piezoelectric response in C/m²: 0.47

Lattice parameters (Å, degrees): 8.6123 8.6123 8.6123 33.35 33.35 33.35
Fractional coordinates of all 12 atoms:
Sr 0.0000 0.0000 0.0000
Al 0.4307 0.4307 0.4307
Al 0.5693 0.5693 0.5693
B 0.2647 0.2647 0.2647
B 0.7353 0.7353 0.7353
O 0.0364 0.4868 0.6753
O 0.3247 0.5132 0.9636
O 0.4868 0.6753 0.0364
O 0.5000 0.5000 0.5000
O 0.5132 0.9636 0.3247
O 0.6753 0.0364 0.4868
O 0.9636 0.3247 0.5132

---

Record 8
A plane-wave DFT calculation with PBE was carried out for an optimized crystal structure of HfGaPt.

E_form in meV/atom: -965
Electronic total energy in eV/atom: -7.3175

Lattice parameters (Å, degrees): 7.1782 7.1782 7.0667 90.00 90.00 120.00
Fractional coordinates of all 18 atoms:
Hf 0.0237 0.6141 0.2500
Hf 0.3859 0.4096 0.2500
Hf 0.4096 0.3859 0.7500
Hf 0.5904 0.9763 0.2500
Hf 0.6141 0.0237 0.7500
Hf 0.9763 0.5904 0.7500
Ga 0.0000 0.2679 0.0000
Ga 0.0000 0.2679 0.5000
Ga 0.2679 0.0000 0.0000
Ga 0.2679 0.0000 0.5000
Ga 0.7321 0.7321 0.0000
Ga 0.7321 0.7321 0.5000
Pt 0.0000 0.0000 0.2500
Pt 0.0000 0.0000 0.7500
Pt 0.3333 0.6667 0.5326
Pt 0.3333 0.6667 0.9674
Pt 0.6667 0.3333 0.0326
Pt 0.6667 0.3333 0.4674

---

Record 9
A plane-wave DFT calculation with PBE was carried out for an optimized crystal structure of CuCl2.

Magnetization in μB per cell: 1.0
E_form in meV/atom: -830
Electronic total energy in eV/atom: -3.0196

Lattice parameters (Å, degrees): 6.8930 6.8930 6.8930 29.73 29.73 29.73
Fractional coordinates of all 3 atoms:
Cu 0.0000 0.0000 0.0000
Cl 0.2653 0.2653 0.2653
Cl 0.7347 0.7347 0.7347

---

Record 10
A plane-wave DFT calculation with PBE was carried out for an optimized crystal structure of Zr9BW4.

Magnetization in μB per cell: 0.0
E above lowest polymorph in eV per atom: 0.770
E_form in meV/atom: 662
Electronic total energy in eV/atom: -9.0126

Lattice parameters (Å, degrees): 12.2514 12.2514 15.0043 90.00 90.00 120.00
Fractional coordinates of all 84 atoms:
Zr 0.7212 0.0366 0.4817
Zr 0.3879 0.3700 0.8150
Zr 0.0546 0.7033 0.1483
Zr 0.8517 0.9062 0.3513
Zr 0.5183 0.2396 0.6846
Zr 0.1850 0.5729 0.0179
Zr 0.9821 0.1671 0.6121
Zr 0.6487 0.5004 0.9454
Zr 0.3154 0.8337 0.2788
Zr 0.2788 0.9634 0.5183
Zr 0.9454 0.2967 0.8517
Zr 0.6121 0.6300 0.1850
Zr 0.1483 0.0938 0.6487
Zr 0.8150 0.4271 0.9821
Zr 0.4817 0.7604 0.3154
Zr 0.0179 0.8329 0.3879
Zr 0.6846 0.1663 0.7212
Zr 0.3513 0.4996 0.0546
Zr 0.1487 0.7033 0.6483
Zr 0.8154 0.0366 0.9817
Zr 0.4821 0.3700 0.3150
Zr 0.0183 0.8337 0.7788
Zr 0.6850 0.1671 0.1121
Zr 0.3517 0.5004 0.4454
Zr 0.8879 0.5729 0.5179
Zr 0.5546 0.9062 0.8513
Zr 0.2212 0.2396 0.1846
Zr 0.8513 0.2967 0.3517
Zr 0.5179 0.6300 0.6850
Zr 0.1846 0.9634 0.0183
Zr 0.9817 0.1663 0.2212
Zr 0.6483 0.4996 0.5546
Zr 0.3150 0.8329 0.8879
Zr 0.1121 0.4271 0.4821
Zr 0.7788 0.7604 0.8154
Zr 0.4454 0.0938 0.1487
Zr 0.1212 0.1667 0.4167
Zr 0.7878 0.5000 0.7500
Zr 0.4545 0.8333 0.0833
Zr 0.2500 0.0378 0.2878
Zr 0.9167 0.3712 0.6212
Zr 0.5833 0.7045 0.9545
Zr 0.3788 0.2955 0.5455
Zr 0.0455 0.6288 0.8788
Zr 0.7122 0.9622 0.2122
Zr 0.8788 0.8333 0.5833
Zr 0.5455 0.1667 0.9167
Zr 0.2122 0.5000 0.2500
Zr 0.7500 0.9622 0.7122
Zr 0.4167 0.2955 0.0455
Zr 0.0833 0.6288 0.3788
Zr 0.6212 0.7045 0.4545
Zr 0.2878 0.0378 0.7878
Zr 0.9545 0.3712 0.1212
B 0.9167 0.1667 0.4167
B 0.5833 0.5000 0.7500
B 0.2500 0.8333 0.0833
B 0.0833 0.8333 0.5833
B 0.7500 0.1667 0.9167
B 0.4167 0.5000 0.2500
W 0.4739 0.1667 0.4167
W 0.1406 0.5000 0.7500
W 0.8073 0.8333 0.0833
W 0.2500 0.3906 0.6406
W 0.9167 0.7239 0.9739
W 0.5833 0.0573 0.3073
W 0.0261 0.9427 0.1927
W 0.6927 0.2761 0.5261
W 0.3594 0.6094 0.8594
W 0.5261 0.8333 0.5833
W 0.1927 0.1667 0.9167
W 0.8594 0.5000 0.2500
W 0.7500 0.6094 0.3594
W 0.4167 0.9427 0.6927
W 0.0833 0.2761 0.0261
W 0.9739 0.0573 0.8073
W 0.6406 0.3906 0.1406
W 0.3073 0.7239 0.4739
W 0.8333 0.6667 0.1667
W 0.5000 0.0000 0.5000
W 0.1667 0.3333 0.8333
W 0.0000 0.0000 0.0000
W 0.6667 0.3333 0.3333
W 0.3333 0.6667 0.6667

---

Record 11
A plane-wave DFT calculation with PBE was carried out for an optimized crystal structure of KAsO4.

Magnetization in μB per cell: 4.0
E_form in meV/atom: -1344
Electronic total energy in eV/atom: -5.1459

Lattice parameters (Å, degrees): 6.4100 6.4100 6.4100 109.27 109.27 109.87
Fractional coordinates of all 12 atoms:
K 0.0000 0.0000 0.0000
K 0.7500 0.2500 0.5000
As 0.2500 0.7500 0.5000
As 0.5000 0.5000 0.0000
O 0.0035 0.7608 0.5529
O 0.2006 0.4579 0.9471
O 0.2079 0.4506 0.4471
O 0.2392 0.7921 0.2426
O 0.5108 0.2535 0.0529
O 0.5421 0.4892 0.7426
O 0.5494 0.9965 0.7574
O 0.7465 0.7994 0.2574

---

Record 12
A plane-wave DFT calculation with PBE was carried out for an optimized crystal structure of NaReS2O12.

Magnetization in μB per cell: 8.0
E_form in meV/atom: -958
Electronic total energy in eV/atom: -6.0467

Lattice parameters (Å, degrees): 7.4897 12.7495 12.3654 90.00 119.39 90.00
Fractional coordinates of all 64 atoms:
Na 0.1695 0.1379 0.2314
Na 0.1695 0.3621 0.7314
Na 0.8305 0.6379 0.2686
Na 0.8305 0.8621 0.7686
Re 0.3360 0.0915 0.9314
Re 0.3360 0.4085 0.4314
Re 0.6640 0.5915 0.5686
Re 0.6640 0.9085 0.0686
S 0.2244 0.6041 0.5615
S 0.2244 0.8959 0.0615
S 0.3317 0.6126 0.2725
S 0.3317 0.8874 0.7725
S 0.6683 0.1126 0.2275
S 0.6683 0.3874 0.7275
S 0.7756 0.1041 0.9385
S 0.7756 0.3959 0.4385
O 0.0552 0.6760 0.5006
O 0.0552 0.8240 0.0006
O 0.1771 0.5149 0.4583
O 0.1771 0.9851 0.9583
O 0.1779 0.6773 0.2773
O 0.1779 0.8227 0.7773
O 0.2190 0.2060 0.8538
O 0.2190 0.2940 0.3538
O 0.2268 0.0192 0.4261
O 0.2268 0.4808 0.9261
O 0.2599 0.5545 0.6749
O 0.2599 0.9455 0.1749
O 0.2842 0.0048 0.7841
O 0.2842 0.4952 0.2841
O 0.3045 0.5734 0.9331
O 0.3045 0.9266 0.4331
O 0.3174 0.0809 0.5226
O 0.3174 0.4191 0.0226
O 0.3722 0.6241 0.1715
O 0.3722 0.8759 0.6715
O 0.4185 0.6562 0.5751
O 0.4185 0.8438 0.0751
O 0.4501 0.1297 0.1062
O 0.4501 0.3703 0.6062
O 0.5499 0.6297 0.3938
O 0.5499 0.8703 0.8938
O 0.5815 0.1562 0.9249
O 0.5815 0.3438 0.4249
O 0.6278 0.1241 0.3285
O 0.6278 0.3759 0.8285
O 0.6826 0.5809 0.9774
O 0.6826 0.9191 0.4774
O 0.6955 0.0734 0.5669
O 0.6955 0.4266 0.0669
O 0.7158 0.5048 0.7159
O 0.7158 0.9952 0.2159
O 0.7401 0.0545 0.8251
O 0.7401 0.4455 0.3251
O 0.7732 0.5192 0.0739
O 0.7732 0.9808 0.5739
O 0.7810 0.7060 0.6462
O 0.7810 0.7940 0.1462
O 0.8221 0.1773 0.2227
O 0.8221 0.3227 0.7227
O 0.8229 0.0149 0.0417
O 0.8229 0.4851 0.5417
O 0.9448 0.1760 0.9994
O 0.9448 0.3240 0.4994